(1)
H12WC2S4N2: relaxed, PBE.

- total moment (Bohr magnetons per cell) = 0.00
- symmetry = Pnma, No. 62
- calculated volume (Å³ per cell) = 1136.2
- ΔH_f (0 K) (eV per atom) = -0.45
- crystal system = orthorhombic
- total DFT energy (no corrections) (Ry/atom) = -0.3919

Structure (CIF):
```
data_H12WC2S4N2
_cell_length_a 9.658
_cell_length_b 7.245
_cell_length_c 16.237
_cell_angle_alpha 90.00
_cell_angle_beta 90.00
_cell_angle_gamma 90.00
_symmetry_space_group_name_H-M 'P 1'
_symmetry_Int_Tables_number 1
loop_
_symmetry_equiv_pos_as_xyz
'x,y,z'
loop_
_atom_site_label
_atom_site_type_symbol
_atom_site_fract_x
_atom_site_fract_y
_atom_site_fract_z
H1 H 0.022 0.127 0.232
H2 H 0.022 0.373 0.232
H3 H 0.038 0.250 0.095
H4 H 0.070 0.250 0.708
H5 H 0.108 0.135 0.570
H6 H 0.108 0.365 0.570
H7 H 0.115 0.635 0.894
H8 H 0.115 0.865 0.894
H9 H 0.138 0.750 0.754
H10 H 0.230 0.126 0.701
H11 H 0.230 0.374 0.701
H12 H 0.242 0.750 0.063
H13 H 0.258 0.250 0.563
H14 H 0.270 0.626 0.201
H15 H 0.270 0.874 0.201
H16 H 0.362 0.250 0.254
H17 H 0.385 0.135 0.394
H18 H 0.385 0.365 0.394
H19 H 0.392 0.635 0.070
H20 H 0.392 0.865 0.070
H21 H 0.430 0.750 0.208
H22 H 0.462 0.750 0.595
H23 H 0.478 0.627 0.732
H24 H 0.478 0.873 0.732
H25 H 0.522 0.127 0.268
H26 H 0.522 0.373 0.268
H27 H 0.538 0.250 0.405
H28 H 0.570 0.250 0.792
H29 H 0.608 0.135 0.930
H30 H 0.608 0.365 0.930
H31 H 0.615 0.635 0.606
H32 H 0.615 0.865 0.606
H33 H 0.638 0.750 0.746
H34 H 0.730 0.126 0.799
H35 H 0.730 0.374 0.799
H36 H 0.742 0.750 0.437
H37 H 0.758 0.250 0.937
H38 H 0.770 0.626 0.299
H39 H 0.770 0.874 0.299
H40 H 0.862 0.250 0.246
H41 H 0.885 0.135 0.106
H42 H 0.885 0.365 0.106
H43 H 0.892 0.635 0.430
H44 H 0.892 0.865 0.430
H45 H 0.930 0.750 0.292
H46 H 0.962 0.750 0.905
H47 H 0.978 0.627 0.768
H48 H 0.978 0.873 0.768
W1 W 0.242 0.250 0.950
W2 W 0.258 0.750 0.450
W3 W 0.742 0.250 0.550
W4 W 0.758 0.750 0.050
C1 C 0.038 0.750 0.786
C2 C 0.174 0.250 0.682
C3 C 0.326 0.750 0.182
C4 C 0.462 0.250 0.286
C5 C 0.538 0.750 0.714
C6 C 0.674 0.250 0.818
C7 C 0.826 0.750 0.318
C8 C 0.962 0.250 0.214
S1 S 0.021 0.250 0.914
S2 S 0.154 0.503 0.400
S3 S 0.154 0.997 0.400
S4 S 0.238 0.750 0.586
S5 S 0.262 0.250 0.086
S6 S 0.346 0.003 0.900
S7 S 0.346 0.497 0.900
S8 S 0.479 0.750 0.414
S9 S 0.521 0.250 0.586
S10 S 0.654 0.503 0.100
S11 S 0.654 0.997 0.100
S12 S 0.738 0.750 0.914
S13 S 0.762 0.250 0.414
S14 S 0.846 0.003 0.600
S15 S 0.846 0.497 0.600
S16 S 0.979 0.750 0.086
N1 N 0.059 0.750 0.876
N2 N 0.162 0.250 0.590
N3 N 0.338 0.750 0.090
N4 N 0.441 0.250 0.376
N5 N 0.559 0.750 0.624
N6 N 0.662 0.250 0.910
N7 N 0.838 0.750 0.410
N8 N 0.941 0.250 0.124
```

---

(2)
ZnH12C6S4N2: relaxed, PBE.

- total moment (Bohr magnetons per cell) = 0.01
- symmetry = C2/c, No. 15
- calculated volume (Å³ per cell) = 1452.0
- ΔH_f (0 K) (eV per atom) = -0.23
- crystal system = monoclinic
- total DFT energy (no corrections) (Ry/atom) = -0.3930

Structure (CIF):
```
data_ZnH12C6S4N2
_cell_length_a 9.429
_cell_length_b 9.429
_cell_length_c 18.797
_cell_angle_alpha 93.43
_cell_angle_beta 93.43
_cell_angle_gamma 118.97
_symmetry_space_group_name_H-M 'P 1'
_symmetry_Int_Tables_number 1
loop_
_symmetry_equiv_pos_as_xyz
'x,y,z'
loop_
_atom_site_label
_atom_site_type_symbol
_atom_site_fract_x
_atom_site_fract_y
_atom_site_fract_z
Zn1 Zn 0.094 0.880 0.639
Zn2 Zn 0.120 0.906 0.861
Zn3 Zn 0.880 0.094 0.139
Zn4 Zn 0.906 0.120 0.361
H1 H 0.017 0.310 0.765
H2 H 0.103 0.544 0.091
H3 H 0.105 0.736 0.098
H4 H 0.133 0.471 0.711
H5 H 0.207 0.476 0.802
H6 H 0.225 0.498 0.489
H7 H 0.239 0.258 0.616
H8 H 0.258 0.239 0.116
H9 H 0.264 0.895 0.402
H10 H 0.273 0.719 0.139
H11 H 0.281 0.727 0.361
H12 H 0.298 0.465 0.645
H13 H 0.310 0.017 0.265
H14 H 0.347 0.577 0.973
H15 H 0.382 0.428 0.169
H16 H 0.382 0.601 0.433
H17 H 0.399 0.618 0.067
H18 H 0.423 0.653 0.527
H19 H 0.428 0.382 0.669
H20 H 0.456 0.897 0.409
H21 H 0.465 0.298 0.145
H22 H 0.471 0.133 0.211
H23 H 0.476 0.207 0.302
H24 H 0.498 0.225 0.989
H25 H 0.502 0.775 0.011
H26 H 0.524 0.793 0.698
H27 H 0.529 0.867 0.789
H28 H 0.535 0.702 0.855
H29 H 0.544 0.103 0.591
H30 H 0.572 0.618 0.331
H31 H 0.577 0.347 0.473
H32 H 0.601 0.382 0.933
H33 H 0.618 0.399 0.567
H34 H 0.618 0.572 0.831
H35 H 0.653 0.423 0.027
H36 H 0.690 0.983 0.735
H37 H 0.702 0.535 0.355
H38 H 0.719 0.273 0.639
H39 H 0.727 0.281 0.861
H40 H 0.736 0.105 0.598
H41 H 0.742 0.761 0.884
H42 H 0.761 0.742 0.384
H43 H 0.775 0.502 0.511
H44 H 0.793 0.524 0.198
H45 H 0.867 0.529 0.289
H46 H 0.895 0.264 0.902
H47 H 0.897 0.456 0.909
H48 H 0.983 0.690 0.235
C1 C 0.140 0.397 0.753
C2 C 0.180 0.677 0.093
C3 C 0.188 0.222 0.261
C4 C 0.213 0.782 0.524
C5 C 0.218 0.787 0.976
C6 C 0.222 0.188 0.761
C7 C 0.301 0.356 0.660
C8 C 0.323 0.820 0.407
C9 C 0.331 0.615 0.482
C10 C 0.356 0.301 0.160
C11 C 0.385 0.669 0.018
C12 C 0.397 0.140 0.253
C13 C 0.603 0.860 0.747
C14 C 0.615 0.331 0.982
C15 C 0.644 0.699 0.840
C16 C 0.669 0.385 0.518
C17 C 0.677 0.180 0.593
C18 C 0.699 0.644 0.340
C19 C 0.778 0.812 0.239
C20 C 0.782 0.213 0.024
C21 C 0.787 0.218 0.476
C22 C 0.812 0.778 0.739
C23 C 0.820 0.323 0.907
C24 C 0.860 0.603 0.247
S1 S 0.069 0.841 0.984
S2 S 0.074 0.305 0.225
S3 S 0.146 0.158 0.843
S4 S 0.158 0.146 0.343
S5 S 0.159 0.931 0.516
S6 S 0.176 0.686 0.603
S7 S 0.305 0.074 0.725
S8 S 0.314 0.824 0.897
S9 S 0.686 0.176 0.103
S10 S 0.695 0.926 0.275
S11 S 0.824 0.314 0.397
S12 S 0.841 0.069 0.484
S13 S 0.842 0.854 0.657
S14 S 0.854 0.842 0.157
S15 S 0.926 0.695 0.775
S16 S 0.931 0.159 0.016
N1 N 0.221 0.308 0.726
N2 N 0.260 0.718 0.027
N3 N 0.282 0.740 0.473
N4 N 0.308 0.221 0.226
N5 N 0.692 0.779 0.774
N6 N 0.718 0.260 0.527
N7 N 0.740 0.282 0.973
N8 N 0.779 0.692 0.274
```

---

(3)
Si2H15C5N: relaxed, PBE.

- total moment (Bohr magnetons per cell) = 0.00
- symmetry = P2_1/c, No. 14
- calculated volume (Å³ per cell) = 1018.8
- ΔH_f (0 K) (eV per atom) = -0.29
- crystal system = monoclinic
- total DFT energy (no corrections) (Ry/atom) = -0.3919

Structure (CIF):
```
data_Si2H15C5N
_cell_length_a 6.857
_cell_length_b 13.485
_cell_length_c 11.750
_cell_angle_alpha 90.00
_cell_angle_beta 110.34
_cell_angle_gamma 90.00
_symmetry_space_group_name_H-M 'P 1'
_symmetry_Int_Tables_number 1
loop_
_symmetry_equiv_pos_as_xyz
'x,y,z'
loop_
_atom_site_label
_atom_site_type_symbol
_atom_site_fract_x
_atom_site_fract_y
_atom_site_fract_z
Si1 Si 0.050 0.088 0.491
Si2 Si 0.050 0.412 0.991
Si3 Si 0.271 0.501 0.260
Si4 Si 0.271 0.999 0.760
Si5 Si 0.729 0.001 0.240
Si6 Si 0.729 0.499 0.740
Si7 Si 0.950 0.588 0.009
Si8 Si 0.950 0.912 0.509
H1 H 0.017 0.030 0.159
H2 H 0.017 0.470 0.659
H3 H 0.026 0.099 0.831
H4 H 0.026 0.401 0.331
H5 H 0.041 0.244 0.602
H6 H 0.041 0.256 0.102
H7 H 0.139 0.750 0.048
H8 H 0.139 0.750 0.548
H9 H 0.197 0.028 0.952
H10 H 0.197 0.176 0.353
H11 H 0.197 0.324 0.853
H12 H 0.197 0.472 0.452
H13 H 0.201 0.680 0.937
H14 H 0.201 0.820 0.437
H15 H 0.284 0.685 0.292
H16 H 0.284 0.815 0.792
H17 H 0.348 0.069 0.416
H18 H 0.348 0.431 0.916
H19 H 0.375 0.179 0.504
H20 H 0.375 0.321 0.004
H21 H 0.407 0.173 0.766
H22 H 0.407 0.327 0.266
H23 H 0.422 0.586 0.764
H24 H 0.422 0.914 0.264
H25 H 0.425 0.600 0.615
H26 H 0.425 0.900 0.115
H27 H 0.494 0.625 0.404
H28 H 0.494 0.875 0.904
H29 H 0.498 0.143 0.244
H30 H 0.498 0.357 0.744
H31 H 0.502 0.643 0.256
H32 H 0.502 0.857 0.756
H33 H 0.506 0.125 0.096
H34 H 0.506 0.375 0.596
H35 H 0.575 0.100 0.885
H36 H 0.575 0.400 0.385
H37 H 0.578 0.086 0.736
H38 H 0.578 0.414 0.236
H39 H 0.593 0.673 0.734
H40 H 0.593 0.827 0.234
H41 H 0.625 0.679 0.996
H42 H 0.625 0.821 0.496
H43 H 0.652 0.569 0.084
H44 H 0.652 0.931 0.584
H45 H 0.716 0.185 0.208
H46 H 0.716 0.315 0.708
H47 H 0.799 0.180 0.563
H48 H 0.799 0.320 0.063
H49 H 0.803 0.528 0.548
H50 H 0.803 0.676 0.147
H51 H 0.803 0.824 0.647
H52 H 0.803 0.972 0.048
H53 H 0.861 0.250 0.452
H54 H 0.861 0.250 0.952
H55 H 0.959 0.744 0.898
H56 H 0.959 0.756 0.398
H57 H 0.974 0.599 0.669
H58 H 0.974 0.901 0.169
H59 H 0.983 0.530 0.341
H60 H 0.983 0.970 0.841
C1 C 0.075 0.701 0.969
C2 C 0.075 0.799 0.469
C3 C 0.104 0.026 0.854
C4 C 0.104 0.474 0.354
C5 C 0.262 0.131 0.436
C6 C 0.262 0.369 0.936
C7 C 0.400 0.625 0.307
C8 C 0.400 0.875 0.807
C9 C 0.476 0.098 0.789
C10 C 0.476 0.402 0.289
C11 C 0.524 0.598 0.711
C12 C 0.524 0.902 0.211
C13 C 0.600 0.125 0.193
C14 C 0.600 0.375 0.693
C15 C 0.738 0.631 0.064
C16 C 0.738 0.869 0.564
C17 C 0.896 0.526 0.646
C18 C 0.896 0.974 0.146
C19 C 0.925 0.201 0.531
C20 C 0.925 0.299 0.031
N1 N 0.124 0.503 0.106
N2 N 0.124 0.997 0.606
N3 N 0.876 0.003 0.394
N4 N 0.876 0.497 0.894
```

---

(4)
Si2H25C10N: relaxed, PBE.

- total moment (Bohr magnetons per cell) = 0.00
- energy above the lowest structure with this stoichiometry (eV/atom) = 0.025
- symmetry = P1, No. 1
- calculated volume (Å³ per cell) = 1508.8
- ΔH_f (0 K) (eV per atom) = -0.19
- crystal system = triclinic
- total DFT energy (no corrections) (Ry/atom) = -0.3930

Structure (CIF):
```
data_Si2H25C10N
_cell_length_a 9.085
_cell_length_b 13.129
_cell_length_c 13.441
_cell_angle_alpha 90.00
_cell_angle_beta 109.75
_cell_angle_gamma 90.00
_symmetry_space_group_name_H-M 'P 1'
_symmetry_Int_Tables_number 1
loop_
_symmetry_equiv_pos_as_xyz
'x,y,z'
loop_
_atom_site_label
_atom_site_type_symbol
_atom_site_fract_x
_atom_site_fract_y
_atom_site_fract_z
Si1 Si 0.000 0.000 0.000
Si2 Si 0.000 0.343 0.497
Si3 Si 0.068 0.848 0.211
Si4 Si 0.072 0.493 0.712
Si5 Si 0.264 0.990 0.227
Si6 Si 0.266 0.350 0.724
Si7 Si 0.329 0.836 0.436
Si8 Si 0.335 0.503 0.935
H1 H 0.022 0.314 0.272
H2 H 0.031 0.032 0.777
H3 H 0.069 0.899 0.516
H4 H 0.077 0.448 0.019
H5 H 0.096 0.253 0.486
H6 H 0.097 0.658 0.227
H7 H 0.099 0.094 0.988
H8 H 0.100 0.683 0.726
H9 H 0.101 0.002 0.445
H10 H 0.103 0.337 0.946
H11 H 0.137 0.210 0.795
H12 H 0.139 0.137 0.294
H13 H 0.143 0.325 0.085
H14 H 0.145 0.014 0.582
H15 H 0.183 0.635 0.635
H16 H 0.185 0.514 0.348
H17 H 0.188 0.829 0.852
H18 H 0.190 0.711 0.136
H19 H 0.224 0.499 0.487
H20 H 0.225 0.840 0.991
H21 H 0.228 0.179 0.202
H22 H 0.232 0.588 0.943
H23 H 0.232 0.752 0.442
H24 H 0.237 0.163 0.703
H25 H 0.257 0.401 0.414
H26 H 0.260 0.943 0.916
H27 H 0.306 0.527 0.155
H28 H 0.307 0.812 0.653
H29 H 0.344 0.194 0.833
H30 H 0.346 0.147 0.339
H31 H 0.368 0.932 0.714
H32 H 0.374 0.415 0.216
H33 H 0.375 0.071 0.477
H34 H 0.386 0.272 0.980
H35 H 0.416 0.079 0.620
H36 H 0.417 0.263 0.117
H37 H 0.422 0.651 0.338
H38 H 0.425 0.686 0.835
H39 H 0.430 0.301 0.616
H40 H 0.435 0.040 0.119
H41 H 0.455 0.433 0.654
H42 H 0.460 0.908 0.159
H43 H 0.475 0.578 0.779
H44 H 0.477 0.637 0.526
H45 H 0.479 0.706 0.033
H46 H 0.479 0.761 0.282
H47 H 0.496 0.493 0.176
H48 H 0.502 0.854 0.677
H49 H 0.542 0.336 0.066
H50 H 0.543 0.332 0.747
H51 H 0.550 0.008 0.573
H52 H 0.550 0.010 0.249
H53 H 0.553 0.036 0.951
H54 H 0.557 0.306 0.453
H55 H 0.575 0.611 0.117
H56 H 0.578 0.731 0.616
H57 H 0.618 0.674 0.355
H58 H 0.627 0.668 0.857
H59 H 0.637 0.440 0.905
H60 H 0.644 0.185 0.876
H61 H 0.647 0.903 0.408
H62 H 0.648 0.945 0.886
H63 H 0.650 0.163 0.380
H64 H 0.652 0.392 0.388
H65 H 0.679 0.449 0.041
H66 H 0.680 0.682 0.056
H67 H 0.682 0.897 0.544
H68 H 0.686 0.663 0.555
H69 H 0.692 0.404 0.529
H70 H 0.693 0.940 0.026
H71 H 0.704 0.180 0.573
H72 H 0.706 0.170 0.074
H73 H 0.744 0.110 0.812
H74 H 0.746 0.230 0.309
H75 H 0.771 0.807 0.482
H76 H 0.773 0.537 0.981
H77 H 0.778 0.509 0.679
H78 H 0.783 0.831 0.864
H79 H 0.787 0.507 0.360
H80 H 0.789 0.833 0.180
H81 H 0.830 0.347 0.257
H82 H 0.833 0.990 0.755
H83 H 0.845 0.133 0.401
H84 H 0.845 0.204 0.899
H85 H 0.848 0.262 0.652
H86 H 0.849 0.074 0.152
H87 H 0.873 0.931 0.272
H88 H 0.874 0.413 0.778
H89 H 0.900 0.543 0.808
H90 H 0.904 0.798 0.313
H91 H 0.911 0.186 0.100
H92 H 0.911 0.578 0.312
H93 H 0.914 0.157 0.598
H94 H 0.918 0.765 0.818
H95 H 0.949 0.774 0.950
H96 H 0.950 0.572 0.449
H97 H 0.956 0.427 0.215
H98 H 0.960 0.910 0.715
H99 H 0.978 0.646 0.598
H100 H 0.986 0.696 0.099
C1 C 0.009 0.908 0.885
C2 C 0.010 0.430 0.390
C3 C 0.084 0.622 0.663
C4 C 0.088 0.713 0.163
C5 C 0.152 0.379 0.025
C6 C 0.156 0.963 0.521
C7 C 0.174 0.464 0.409
C8 C 0.184 0.878 0.912
C9 C 0.240 0.215 0.766
C10 C 0.247 0.123 0.272
C11 C 0.318 0.413 0.047
C12 C 0.321 0.927 0.546
C13 C 0.375 0.874 0.654
C14 C 0.380 0.462 0.152
C15 C 0.420 0.029 0.555
C16 C 0.426 0.318 0.054
C17 C 0.441 0.989 0.188
C18 C 0.444 0.353 0.684
C19 C 0.508 0.711 0.348
C20 C 0.514 0.630 0.854
C21 C 0.527 0.569 0.955
C22 C 0.528 0.777 0.454
C23 C 0.566 0.696 0.540
C24 C 0.575 0.645 0.045
C25 C 0.659 0.849 0.469
C26 C 0.661 0.490 0.969
C27 C 0.665 0.350 0.463
C28 C 0.666 0.996 0.958
C29 C 0.755 0.146 0.885
C30 C 0.763 0.200 0.387
C31 C 0.800 0.071 0.976
C32 C 0.803 0.277 0.479
C33 C 0.813 0.215 0.581
C34 C 0.818 0.127 0.078
C35 C 0.885 0.489 0.744
C36 C 0.885 0.853 0.246
C37 C 0.906 0.531 0.378
C38 C 0.909 0.813 0.882
C39 C 0.949 0.379 0.274
C40 C 0.956 0.965 0.781
N1 N 0.084 0.394 0.620
N2 N 0.089 0.946 0.126
N3 N 0.240 0.896 0.310
N4 N 0.242 0.453 0.807
```